Run i
First-principles (PBE) data for a relaxed CsAlH24S2O20 crystal, as listed in the Materials Project database.

Structure (POSCAR):
```
CsAlH24S2O20
1.0
-6.6343 -7.8985 -8.2215
9.2886 1.6235 -9.2239
6.5559 -10.4779 4.6073
O H Cs S Al
80 96 4 8 4
Direct
0.6388 0.5235 0.9881 O
0.2549 0.2392 0.7611 O
0.2590 0.2590 0.2590 O
0.0203 0.9946 0.8607 O
0.2360 0.1394 0.5556 O
0.4248 0.3403 0.2752 O
0.9823 0.4959 0.6398 O
0.8609 0.4852 0.5008 O
0.2460 0.3594 0.0504 O
0.3612 0.4765 0.0119 O
0.2392 0.7611 0.2549 O
0.7540 0.6406 0.9496 O
0.0504 0.2460 0.3594 O
0.5148 0.4992 0.1391 O
0.9797 0.0054 0.1393 O
0.7753 0.4220 0.1563 O
0.7249 0.9272 0.1559 O
0.9253 0.3404 0.2220 O
0.2648 0.6357 0.5539 O
0.2247 0.5780 0.8437 O
0.0728 0.8441 0.2751 O
0.1390 0.9462 0.7388 O
0.1563 0.7753 0.4220 O
0.7388 0.1390 0.9462 O
0.8606 0.4444 0.7640 O
0.5008 0.8609 0.4852 O
0.8607 0.0203 0.9946 O
0.0177 0.5041 0.3602 O
0.7451 0.7608 0.2389 O
0.2220 0.9253 0.3404 O
0.3643 0.4461 0.7352 O
0.1391 0.5148 0.4992 O
0.2389 0.7451 0.7608 O
0.5539 0.2648 0.6357 O
0.4992 0.1391 0.5148 O
0.0538 0.2612 0.8610 O
0.6406 0.9496 0.7540 O
0.4959 0.6398 0.9823 O
0.7410 0.7410 0.7410 O
0.9946 0.8607 0.0203 O
0.8441 0.2751 0.0728 O
0.3602 0.0177 0.5041 O
0.5041 0.3602 0.0177 O
0.1394 0.5556 0.2360 O
0.0119 0.3612 0.4765 O
0.2752 0.4248 0.3403 O
0.7248 0.5752 0.6597 O
0.6398 0.9823 0.4959 O
0.0054 0.1393 0.9797 O
0.6596 0.7780 0.0747 O
0.1559 0.7249 0.9272 O
0.1393 0.9797 0.0054 O
0.9496 0.7540 0.6406 O
0.9881 0.6388 0.5235 O
0.4852 0.5008 0.8609 O
0.7611 0.2549 0.2392 O
0.7608 0.2389 0.7451 O
0.9462 0.7388 0.1390 O
0.8610 0.0538 0.2612 O
0.4461 0.7352 0.3643 O
0.8437 0.2247 0.5780 O
0.2612 0.8610 0.0538 O
0.3403 0.2752 0.4248 O
0.2751 0.0728 0.8441 O
0.3594 0.0504 0.2460 O
0.7352 0.3643 0.4461 O
0.5780 0.8437 0.2247 O
0.9272 0.1559 0.7249 O
0.0747 0.6596 0.7780 O
0.4765 0.0119 0.3612 O
0.5556 0.2360 0.1394 O
0.7640 0.8606 0.4444 O
0.4220 0.1563 0.7753 O
0.4444 0.7640 0.8606 O
0.6357 0.5539 0.2648 O
0.5752 0.6597 0.7248 O
0.7780 0.0747 0.6596 O
0.3404 0.2220 0.9253 O
0.5235 0.9881 0.6388 O
0.6597 0.7248 0.5752 O
0.7492 0.8305 0.3776 H
0.6224 0.2508 0.1695 H
0.2508 0.1695 0.6224 H
0.7708 0.3210 0.4963 H
0.3776 0.7492 0.8305 H
0.9632 0.7144 0.3459 H
0.4627 0.7809 0.6549 H
0.7364 0.6668 0.8813 H
0.4471 0.8294 0.6805 H
0.1525 0.4630 0.7166 H
0.0017 0.2809 0.3127 H
0.2292 0.6790 0.5037 H
0.8813 0.7364 0.6668 H
0.1574 0.0376 0.2150 H
0.3451 0.5373 0.2191 H
0.9492 0.6667 0.3188 H
0.8475 0.5370 0.2834 H
0.6541 0.0368 0.2856 H
0.4509 0.6692 0.1818 H
0.8171 0.9467 0.8337 H
0.1695 0.6224 0.2508 H
0.7850 0.8426 0.9624 H
0.0376 0.2150 0.1574 H
0.3210 0.4963 0.7708 H
0.8169 0.4942 0.7279 H
0.1706 0.3195 0.5529 H
0.6676 0.6198 0.2494 H
0.9467 0.8337 0.8171 H
0.7144 0.3459 0.9632 H
0.7506 0.3324 0.3802 H
0.4963 0.7708 0.3210 H
0.6668 0.8813 0.7364 H
0.2191 0.3451 0.5373 H
0.8294 0.6805 0.4471 H
0.0044 0.2264 0.8170 H
0.7547 0.1692 0.8788 H
0.7736 0.1830 0.9956 H
0.3324 0.3802 0.7506 H
0.3308 0.8182 0.5491 H
0.9624 0.7850 0.8426 H
0.6549 0.4627 0.7809 H
0.5037 0.2292 0.6790 H
0.1212 0.2453 0.8308 H
0.0533 0.1663 0.1829 H
0.5529 0.1706 0.3195 H
0.2721 0.1831 0.5058 H
0.6667 0.3188 0.9492 H
0.2264 0.8170 0.0044 H
0.2494 0.6676 0.6198 H
0.6812 0.0508 0.3333 H
0.1692 0.8788 0.7547 H
0.3333 0.6812 0.0508 H
0.6790 0.5037 0.2292 H
0.6198 0.2494 0.6676 H
0.5370 0.2834 0.8475 H
0.1830 0.9956 0.7736 H
0.8170 0.0044 0.2264 H
0.0508 0.3333 0.6812 H
0.2856 0.6541 0.0368 H
0.3127 0.0017 0.2809 H
0.3332 0.1187 0.2636 H
0.6692 0.1818 0.4509 H
0.2834 0.8475 0.5370 H
0.1818 0.4509 0.6692 H
0.8337 0.8171 0.9467 H
0.7809 0.6549 0.4627 H
0.8305 0.3776 0.7492 H
0.3459 0.9632 0.7144 H
0.7279 0.8169 0.4942 H
0.5491 0.3308 0.8182 H
0.1829 0.0533 0.1663 H
0.3188 0.9492 0.6667 H
0.1831 0.5058 0.2721 H
0.5058 0.2721 0.1831 H
0.0368 0.2856 0.6541 H
0.7166 0.1525 0.4630 H
0.3195 0.5529 0.1706 H
0.2809 0.3127 0.0017 H
0.9983 0.7191 0.6873 H
0.3802 0.7506 0.3324 H
0.6805 0.4471 0.8294 H
0.8308 0.1212 0.2453 H
0.2150 0.1574 0.0376 H
0.4630 0.7166 0.1525 H
0.4942 0.7279 0.8169 H
0.1187 0.2636 0.3332 H
0.1663 0.1829 0.0533 H
0.2453 0.8308 0.1212 H
0.8426 0.9624 0.7850 H
0.8182 0.5491 0.3308 H
0.8788 0.7547 0.1692 H
0.6873 0.9983 0.7191 H
0.5373 0.2191 0.3451 H
0.2636 0.3332 0.1187 H
0.7191 0.6873 0.9983 H
0.9956 0.7736 0.1830 H
0.0000 0.5000 0.0000 Cs
0.5000 0.5000 0.5000 Cs
0.5000 0.0000 0.0000 Cs
0.0000 0.0000 0.5000 Cs
0.1748 0.6783 0.8260 S
0.3217 0.1740 0.8252 S
0.8260 0.1748 0.6783 S
0.8252 0.3217 0.1740 S
0.6783 0.8260 0.1748 S
0.3237 0.3237 0.3237 S
0.1740 0.8252 0.3217 S
0.6763 0.6763 0.6763 S
0.0000 0.0000 0.0000 Al
0.5000 0.5000 0.0000 Al
0.5000 0.0000 0.5000 Al
0.0000 0.5000 0.5000 Al
```

Values from the calculation:
mass density	1.64	g/cm3
space-group type	R-3 (148)

---

Run ii
First-principles (PBE) data for a relaxed CsAlH24S2O20 crystal, as listed in the Materials Project database.

Structure (POSCAR):
```
CsAlH24S2O20
1.0
13.8789 0.0000 0.0000
0.0000 13.8789 0.0000
0.0000 0.0000 13.8789
H O Cs S Al
96 80 4 8 4
Direct
0.6945 0.5092 0.2585 H
0.1907 0.3472 0.5376 H
0.2415 0.3055 0.0092 H
0.8409 0.6854 0.4333 H
0.3146 0.9333 0.6591 H
0.1907 0.1528 0.0376 H
0.3320 0.3820 0.7355 H
0.4333 0.6591 0.1854 H
0.6180 0.2355 0.1680 H
0.8472 0.5376 0.3093 H
0.6591 0.3146 0.9333 H
0.3820 0.7645 0.8320 H
0.3472 0.9624 0.6907 H
0.1854 0.0667 0.1591 H
0.3146 0.5667 0.1591 H
0.3093 0.8472 0.5376 H
0.4908 0.7585 0.8055 H
0.1180 0.2645 0.8320 H
0.5092 0.2415 0.1945 H
0.1528 0.4624 0.6907 H
0.1528 0.0376 0.1907 H
0.8093 0.8472 0.9624 H
0.5667 0.1591 0.3146 H
0.5092 0.2585 0.6945 H
0.9908 0.7585 0.6945 H
0.8146 0.9333 0.8409 H
0.6945 0.9908 0.7585 H
0.1591 0.1854 0.0667 H
0.6528 0.0376 0.3093 H
0.8409 0.8146 0.9333 H
0.1591 0.3146 0.5667 H
0.8820 0.7645 0.6680 H
0.1180 0.2355 0.3320 H
0.7415 0.3055 0.4908 H
0.7355 0.3320 0.3820 H
0.9908 0.7415 0.1945 H
0.2645 0.6680 0.6180 H
0.6907 0.1528 0.4624 H
0.6680 0.8820 0.7645 H
0.6854 0.4333 0.8409 H
0.0376 0.1907 0.1528 H
0.7585 0.8055 0.4908 H
0.4333 0.8409 0.6854 H
0.0092 0.2415 0.3055 H
0.9624 0.6907 0.3472 H
0.3055 0.0092 0.2415 H
0.3409 0.8146 0.5667 H
0.1680 0.6180 0.2355 H
0.7415 0.1945 0.9908 H
0.6180 0.2645 0.6680 H
0.0092 0.2585 0.8055 H
0.3093 0.6528 0.0376 H
0.9624 0.8093 0.8472 H
0.8055 0.4908 0.7585 H
0.1854 0.4333 0.6591 H
0.6528 0.4624 0.8093 H
0.0667 0.3409 0.6854 H
0.5376 0.1907 0.3472 H
0.7645 0.6680 0.8820 H
0.2585 0.8055 0.0092 H
0.8055 0.0092 0.2585 H
0.6907 0.3472 0.9624 H
0.4908 0.7415 0.3055 H
0.0376 0.3093 0.6528 H
0.1945 0.5092 0.2415 H
0.6854 0.0667 0.3409 H
0.8320 0.1180 0.2645 H
0.6591 0.1854 0.4333 H
0.5667 0.3409 0.8146 H
0.3409 0.6854 0.0667 H
0.3472 0.5376 0.1907 H
0.7645 0.8320 0.3820 H
0.7355 0.1680 0.8820 H
0.1945 0.9908 0.7415 H
0.2355 0.1680 0.6180 H
0.1680 0.8820 0.7355 H
0.7585 0.6945 0.9908 H
0.5376 0.3093 0.8472 H
0.2645 0.8320 0.1180 H
0.2585 0.6945 0.5092 H
0.6680 0.6180 0.2645 H
0.8320 0.3820 0.7645 H
0.9333 0.8409 0.8146 H
0.8146 0.5667 0.3409 H
0.3320 0.1180 0.2355 H
0.8093 0.6528 0.4624 H
0.2415 0.1945 0.5092 H
0.8472 0.9624 0.8093 H
0.4624 0.6907 0.1528 H
0.0667 0.1591 0.1854 H
0.8820 0.7355 0.1680 H
0.2355 0.3320 0.1180 H
0.4624 0.8093 0.6528 H
0.3055 0.4908 0.7415 H
0.3820 0.7355 0.3320 H
0.9333 0.6591 0.3146 H
0.7189 0.1442 0.9465 O
0.5089 0.4974 0.1339 O
0.5026 0.6339 0.9911 O
0.8071 0.4274 0.1962 O
0.4274 0.3038 0.3071 O
0.1929 0.5726 0.8038 O
0.6929 0.9274 0.1962 O
0.8558 0.0535 0.2811 O
0.7189 0.3558 0.4465 O
0.1929 0.9274 0.3038 O
0.9274 0.3038 0.1929 O
0.2620 0.2620 0.2620 O
0.0089 0.4974 0.3661 O
0.8661 0.0089 0.0026 O
0.0535 0.2811 0.8558 O
0.7380 0.7620 0.2380 O
0.2811 0.8558 0.0535 O
0.5535 0.2189 0.1442 O
0.4911 0.5026 0.8661 O
0.1442 0.9465 0.7189 O
0.1442 0.5535 0.2189 O
0.5726 0.6962 0.6929 O
0.3071 0.4274 0.3038 O
0.0726 0.8038 0.3071 O
0.4274 0.1962 0.8071 O
0.9465 0.7811 0.6442 O
0.6962 0.8071 0.0726 O
0.7811 0.6442 0.9465 O
0.9465 0.7189 0.1442 O
0.5089 0.0026 0.6339 O
0.9911 0.5026 0.6339 O
0.3038 0.1929 0.9274 O
0.4465 0.7811 0.8558 O
0.6339 0.9911 0.5026 O
0.8038 0.3071 0.0726 O
0.8558 0.4465 0.7811 O
0.2620 0.2380 0.7620 O
0.2189 0.3558 0.0535 O
0.5726 0.8038 0.1929 O
0.9274 0.1962 0.6929 O
0.3558 0.0535 0.2189 O
0.2380 0.7380 0.7620 O
0.3661 0.0089 0.4974 O
0.6962 0.6929 0.5726 O
0.3661 0.4911 0.9974 O
0.7380 0.7380 0.7380 O
0.4974 0.3661 0.0089 O
0.6339 0.5089 0.0026 O
0.5026 0.8661 0.4911 O
0.3558 0.4465 0.7189 O
0.1962 0.6929 0.9274 O
0.9911 0.9974 0.1339 O
0.0089 0.0026 0.8661 O
0.5535 0.2811 0.6442 O
0.6442 0.5535 0.2811 O
0.2189 0.1442 0.5535 O
0.0026 0.6339 0.5089 O
0.3071 0.0726 0.8038 O
0.7620 0.2380 0.7380 O
0.4465 0.7189 0.3558 O
0.7620 0.2620 0.2380 O
0.4974 0.1339 0.5089 O
0.1339 0.9911 0.9974 O
0.2811 0.6442 0.5535 O
0.4911 0.9974 0.3661 O
0.6442 0.9465 0.7811 O
0.1339 0.5089 0.4974 O
0.8038 0.1929 0.5726 O
0.0026 0.8661 0.0089 O
0.1962 0.8071 0.4274 O
0.7811 0.8558 0.4465 O
0.8071 0.0726 0.6962 O
0.6929 0.5726 0.6962 O
0.8661 0.4911 0.5026 O
0.0726 0.6962 0.8071 O
0.0535 0.2189 0.3558 O
0.9974 0.3661 0.4911 O
0.2380 0.7620 0.2620 O
0.9974 0.1339 0.9911 O
0.3038 0.3071 0.4274 O
0.0000 0.5000 0.0000 Cs
0.5000 0.5000 0.5000 Cs
0.5000 0.0000 0.0000 Cs
0.0000 0.0000 0.5000 Cs
0.3233 0.3233 0.3233 S
0.6767 0.8233 0.1767 S
0.1767 0.8233 0.3233 S
0.8233 0.3233 0.1767 S
0.8233 0.1767 0.6767 S
0.1767 0.6767 0.8233 S
0.3233 0.1767 0.8233 S
0.6767 0.6767 0.6767 S
0.0000 0.0000 0.0000 Al
0.5000 0.5000 0.0000 Al
0.5000 0.0000 0.5000 Al
0.0000 0.5000 0.5000 Al
```

Values from the calculation:
mass density	1.41	g/cm3
space-group type	Pa-3 (205)

---

Run iii
First-principles (PBE) data for a relaxed CsAlH24S2O20 crystal, as listed in the Materials Project database.

Structure (POSCAR):
```
CsAlH24S2O20
1.0
12.4806 0.0000 0.0000
0.0000 12.4806 0.0000
0.0000 0.0000 12.4806
H O Al Cs S
96 80 4 4 8
Direct
0.9763 0.1952 0.0598 H
0.4955 0.7340 0.2775 H
0.2747 0.6785 0.6216 H
0.8215 0.1216 0.2747 H
0.5237 0.6952 0.0598 H
0.3215 0.1216 0.2253 H
0.2775 0.0045 0.2340 H
0.4763 0.3048 0.9402 H
0.8048 0.9402 0.0237 H
0.3048 0.9402 0.4763 H
0.3784 0.7747 0.8215 H
0.7340 0.2225 0.9955 H
0.6785 0.6216 0.2747 H
0.2775 0.4955 0.7340 H
0.8215 0.3784 0.7747 H
0.7986 0.4350 0.4807 H
0.5193 0.2014 0.5650 H
0.2014 0.5650 0.5193 H
0.6952 0.0598 0.5237 H
0.4402 0.0237 0.6952 H
0.2340 0.2775 0.0045 H
0.7253 0.3215 0.3784 H
0.3048 0.5598 0.9763 H
0.7225 0.5045 0.2660 H
0.7986 0.0650 0.9807 H
0.2986 0.4350 0.0193 H
0.8784 0.7253 0.1785 H
0.9350 0.0193 0.2014 H
0.0237 0.8048 0.9402 H
0.2986 0.0650 0.5193 H
0.1216 0.2747 0.8215 H
0.5650 0.9807 0.7014 H
0.3215 0.3784 0.7253 H
0.9763 0.3048 0.5598 H
0.3784 0.7253 0.3215 H
0.2253 0.3215 0.1216 H
0.5193 0.2986 0.0650 H
0.0193 0.2014 0.9350 H
0.2225 0.9955 0.7340 H
0.4807 0.7014 0.9350 H
0.0045 0.2340 0.2775 H
0.0237 0.6952 0.4402 H
0.2225 0.5045 0.2340 H
0.7775 0.4955 0.7660 H
0.4402 0.4763 0.1952 H
0.8048 0.5598 0.5237 H
0.7747 0.6785 0.8784 H
0.8784 0.7747 0.6785 H
0.0193 0.2986 0.4350 H
0.9350 0.4807 0.7014 H
0.7253 0.1785 0.8784 H
0.1952 0.0598 0.9763 H
0.7225 0.9955 0.7660 H
0.7014 0.5650 0.9807 H
0.7660 0.7775 0.4955 H
0.2747 0.8215 0.1216 H
0.9955 0.7660 0.7225 H
0.7660 0.7225 0.9955 H
0.0598 0.5237 0.6952 H
0.6952 0.4402 0.0237 H
0.9807 0.7986 0.0650 H
0.4350 0.4807 0.7986 H
0.7747 0.8215 0.3784 H
0.1952 0.4402 0.4763 H
0.5045 0.2340 0.2225 H
0.1216 0.2253 0.3215 H
0.7775 0.0045 0.2660 H
0.9402 0.4763 0.3048 H
0.2660 0.7775 0.0045 H
0.0650 0.9807 0.7986 H
0.0598 0.9763 0.1952 H
0.6785 0.8784 0.7747 H
0.9807 0.7014 0.5650 H
0.9402 0.0237 0.8048 H
0.7014 0.9350 0.4807 H
0.0045 0.2660 0.7775 H
0.6216 0.2747 0.6785 H
0.7340 0.2775 0.4955 H
0.4955 0.7660 0.7775 H
0.5650 0.5193 0.2014 H
0.1785 0.8784 0.7253 H
0.4763 0.1952 0.4402 H
0.5598 0.5237 0.8048 H
0.5598 0.9763 0.3048 H
0.5237 0.8048 0.5598 H
0.2014 0.9350 0.0193 H
0.4350 0.0193 0.2986 H
0.1785 0.6216 0.2253 H
0.6216 0.2253 0.1785 H
0.4807 0.7986 0.4350 H
0.5045 0.2660 0.7225 H
0.9955 0.7340 0.2225 H
0.2253 0.1785 0.6216 H
0.2340 0.2225 0.5045 H
0.2660 0.7225 0.5045 H
0.0650 0.5193 0.2986 H
0.7586 0.2586 0.2414 O
0.9979 0.0016 0.1520 O
0.7414 0.7586 0.2414 O
0.2414 0.7586 0.2586 O
0.2223 0.8402 0.4360 O
0.2586 0.2414 0.7586 O
0.8430 0.0461 0.2841 O
0.2159 0.1570 0.5461 O
0.8480 0.0021 0.9984 O
0.5016 0.1520 0.5021 O
0.3402 0.4360 0.2777 O
0.0640 0.7223 0.8402 O
0.1570 0.9539 0.7159 O
0.8402 0.4360 0.2223 O
0.4984 0.6520 0.9979 O
0.0461 0.2841 0.8430 O
0.7159 0.1570 0.9539 O
0.4979 0.4984 0.8480 O
0.4360 0.2223 0.8402 O
0.0016 0.1520 0.9979 O
0.9360 0.2777 0.1598 O
0.4539 0.7841 0.8430 O
0.7223 0.8402 0.0640 O
0.8402 0.0640 0.7223 O
0.8480 0.4979 0.4984 O
0.5461 0.2159 0.1570 O
0.6520 0.9979 0.4984 O
0.5021 0.9984 0.6520 O
0.6598 0.5640 0.7223 O
0.0461 0.2159 0.3430 O
0.4360 0.2777 0.3402 O
0.3480 0.0021 0.5016 O
0.0021 0.5016 0.3480 O
0.3480 0.4979 0.0016 O
0.7841 0.8430 0.4539 O
0.7414 0.7414 0.7414 O
0.3430 0.0461 0.2159 O
0.4979 0.0016 0.3480 O
0.0021 0.9984 0.8480 O
0.3402 0.0640 0.7777 O
0.7777 0.3402 0.0640 O
0.2777 0.1598 0.9360 O
0.7159 0.3430 0.4539 O
0.6520 0.5021 0.9984 O
0.2414 0.7414 0.7586 O
0.3430 0.4539 0.7159 O
0.0016 0.3480 0.4979 O
0.2777 0.3402 0.4360 O
0.8430 0.4539 0.7841 O
0.5640 0.7223 0.6598 O
0.6598 0.9360 0.2223 O
0.7223 0.6598 0.5640 O
0.1520 0.9979 0.0016 O
0.1598 0.5640 0.7777 O
0.2841 0.6570 0.5461 O
0.9979 0.4984 0.6520 O
0.2586 0.2586 0.2586 O
0.1570 0.5461 0.2159 O
0.2841 0.8430 0.0461 O
0.1520 0.5021 0.5016 O
0.7777 0.1598 0.5640 O
0.9984 0.6520 0.5021 O
0.5016 0.3480 0.0021 O
0.9984 0.8480 0.0021 O
0.2223 0.6598 0.9360 O
0.1598 0.9360 0.2777 O
0.9539 0.7841 0.6570 O
0.7841 0.6570 0.9539 O
0.4984 0.8480 0.4979 O
0.9539 0.7159 0.1570 O
0.5640 0.7777 0.1598 O
0.2159 0.3430 0.0461 O
0.9360 0.2223 0.6598 O
0.0640 0.7777 0.3402 O
0.6570 0.5461 0.2841 O
0.4539 0.7159 0.3430 O
0.5461 0.2841 0.6570 O
0.7586 0.2414 0.7414 O
0.6570 0.9539 0.7841 O
0.5021 0.5016 0.1520 O
0.5000 0.0000 0.5000 Al
0.0000 0.5000 0.5000 Al
0.5000 0.5000 0.0000 Al
0.0000 0.0000 0.0000 Al
0.0000 0.5000 0.0000 Cs
0.5000 0.5000 0.5000 Cs
0.5000 0.0000 0.0000 Cs
0.0000 0.0000 0.5000 Cs
0.3277 0.3277 0.3277 S
0.3277 0.1723 0.8277 S
0.1723 0.6723 0.8277 S
0.1723 0.8277 0.3277 S
0.8277 0.3277 0.1723 S
0.6723 0.8277 0.1723 S
0.8277 0.1723 0.6723 S
0.6723 0.6723 0.6723 S
```

Values from the calculation:
mass density	1.94	g/cm3
space-group type	Pa-3 (205)

---

Computed relative energies in units of meV per atom: run i 771; run ii 790; run iii 0